Computed, not measured: a relaxed structure of MgB4H20N2 at the PBE level of DFT.

Cell and atoms, written as POSCAR:
```
MgB4H20N2
1.0
5.1984 0.0000 0.0000
0.0000 13.2759 0.0000
0.0000 0.0000 14.4946
Mg B H N
4 16 80 8
Cartesian
1.0980 0.1086 5.3787
1.5012 13.1672 12.6260
3.6972 6.5293 9.1159
4.1004 6.7465 1.8686
0.1709 12.0479 7.1349
0.2282 1.5585 3.6675
0.3971 11.4209 14.0281
0.5178 1.7677 11.2947
2.0814 11.5081 4.0474
2.2021 1.8550 6.7808
2.3710 11.7174 10.9148
2.4283 1.2279 14.3822
2.7701 7.8658 7.3598
2.8274 5.0794 10.8272
2.9963 8.4929 0.4665
3.1170 4.8702 3.1999
4.6806 8.4056 10.4472
4.8013 4.7830 7.7138
4.9702 8.1964 3.5799
5.0275 5.4100 0.1124
0.0793 5.8299 13.4954
0.1006 10.2850 13.7513
0.1163 4.2379 0.2763
0.1149 12.7190 1.2900
0.1738 7.5311 9.9271
0.2106 5.5488 8.4610
0.2200 1.8554 10.1225
0.2361 2.7515 3.9337
0.2426 7.9591 4.6776
0.2488 3.0838 13.0479
0.4318 11.1512 1.7010
0.4788 7.6247 2.7405
0.4974 6.0673 0.9289
0.6848 10.1650 9.9901
0.8753 11.7407 4.1395
0.9390 3.8460 11.7617
0.9833 1.7160 6.7271
1.0678 4.9299 6.0975
1.2012 1.1020 14.1894
1.2023 12.1316 10.9181
1.3969 1.1442 3.6708
1.3980 12.1738 6.9421
1.5315 8.3459 13.3449
1.6159 11.5599 13.9744
1.6602 9.4298 4.5144
1.7239 1.5352 11.3869
1.9144 3.1108 2.7428
2.1018 7.2085 8.1763
2.1204 5.6512 9.9878
2.1674 2.1247 8.9483
2.3504 10.1920 5.8006
2.3566 5.3168 11.9250
2.3631 10.5244 11.1811
2.3792 11.4204 2.8752
2.3886 7.7271 1.2137
2.4254 5.7448 2.6797
2.4843 0.5568 8.5373
2.4829 9.0379 7.5236
2.4986 2.9908 6.5039
2.5199 7.4460 6.2481
2.6785 0.8080 0.9992
2.6998 9.6288 0.7434
2.7155 2.4000 14.2184
2.7141 7.1947 13.2046
2.7730 12.3827 4.5676
2.8099 1.0891 6.0336
2.8192 4.7825 4.3721
2.8353 3.8865 10.5609
2.8418 11.9547 9.8170
2.8480 3.5541 1.4467
3.0310 8.7626 12.7936
3.0780 12.2891 11.7542
3.0966 0.5706 13.5657
3.2840 9.7488 4.5045
3.4745 8.1731 10.3551
3.5382 2.7919 2.7329
3.5825 4.9220 7.7675
3.6670 1.7080 8.3971
3.8004 5.5359 0.3052
3.8015 7.7822 3.5765
3.9961 5.4937 10.8238
3.9972 7.7400 7.5525
4.1307 11.5678 1.1498
4.2151 8.3539 0.5202
4.2594 10.4839 9.9802
4.3231 5.1027 3.1078
4.5136 3.5271 11.7518
4.7010 12.7053 6.3184
4.7196 0.9867 4.5068
4.7666 4.5132 5.5463
4.9496 9.7217 8.6940
4.9558 1.3212 2.5697
4.9623 9.3894 3.3136
4.9784 8.4934 11.6194
4.9878 12.1867 13.2809
5.0246 0.8932 11.8149
5.0835 6.0811 5.9573
5.0821 10.8758 6.9710
5.0978 3.6471 7.9907
5.1191 12.4678 8.2465
0.0615 5.1056 6.2255
0.2318 3.1412 12.0190
2.3674 10.1346 4.7717
2.5377 8.1703 13.4728
2.6607 1.5323 8.2692
2.8311 3.4967 2.4756
4.9666 9.7791 9.7229
5.1369 11.7435 1.0218
```

Total energy after the MP2020 corrections: -4.458 eV per atom
ΔH_f (0 K): -0.278 eV per atom
Final energy: -4.43 eV per atom

=====

Computed, not measured: a relaxed structure of MgB4H20N2 at the PBE level of DFT.

Cell and atoms, written as POSCAR:
```
MgB4H20N2
1.0
5.3013 0.0000 0.0000
0.0000 13.4771 0.0000
0.0000 0.0000 14.0447
Mg B H N
4 16 80 8
Cartesian
1.0003 0.0541 5.2131
1.6504 13.4230 12.2354
3.6509 6.6845 8.8316
4.3010 6.7927 1.8093
0.0016 1.4290 3.5712
5.2997 8.1676 3.4512
0.2054 12.1522 6.9810
0.2543 1.7687 10.7588
0.4882 11.7251 13.5807
2.1625 1.7520 6.5584
2.3964 11.7084 3.7365
2.4452 1.3249 14.0034
2.6522 5.3095 10.4735
2.6491 12.0481 10.5935
2.8561 8.0634 7.0636
2.9049 4.9699 3.2858
3.1388 8.4906 0.4639
4.8132 4.9865 7.4862
5.0470 8.5073 10.3081
5.0959 5.4137 0.0413
0.0128 5.9334 8.1015
0.1261 10.7057 13.0470
0.1930 12.6989 1.5000
0.2824 2.1406 9.6032
0.2834 9.3526 3.5155
0.2918 11.0559 1.6074
0.3149 4.3177 0.1187
0.3257 7.5441 4.4410
0.3781 12.5613 8.1102
0.4018 9.4276 8.4030
0.4963 3.7217 11.7553
0.4990 7.5673 10.1583
0.5233 6.2142 0.6515
0.6123 7.7229 2.4722
0.9378 1.6937 6.6018
1.0680 10.1602 9.7137
1.0915 5.0265 5.9682
1.2200 11.9763 4.0163
1.2317 1.3483 3.7189
1.3263 1.4264 13.4736
1.3243 12.0508 6.4513
1.4189 12.1288 10.7413
1.4307 1.5008 11.0386
1.5592 8.4506 12.9906
1.5827 3.3169 2.6913
1.7129 11.7835 13.6242
2.0384 5.7542 9.4945
2.1273 7.2629 7.6738
2.1516 5.9098 3.1360
2.1544 9.7554 4.7330
2.2489 4.0495 1.3807
2.2725 0.9158 1.0879
2.3250 5.9330 11.4633
2.3358 9.1594 7.1410
2.3589 2.4212 8.6297
2.3673 4.1245 10.5379
2.3683 11.3365 2.5809
2.4577 0.7782 8.5223
2.5245 2.7714 6.0247
2.6379 7.5437 1.0791
2.6634 0.8052 5.9432
2.7768 9.5100 0.9977
2.8436 7.5168 12.5447
2.9330 4.5980 4.4414
2.9340 10.8630 10.5291
2.9425 9.1598 12.4373
2.9655 2.4208 13.9260
2.9763 12.6715 9.6037
3.0288 7.6544 5.9344
3.0524 10.7881 5.6417
3.1469 3.0169 2.2893
3.1497 12.6483 3.8863
3.1740 0.5244 13.3931
3.2630 12.4928 11.5725
3.5884 5.0449 7.4428
3.7187 10.0555 4.3310
3.7421 1.7121 8.0764
3.8707 8.2394 10.0284
3.8824 5.3902 10.3257
3.9770 5.3122 0.5711
3.9750 8.1649 7.5934
4.0696 8.0869 3.3034
4.0813 5.2377 3.0061
4.2099 11.7651 1.0541
4.2333 3.4216 11.3533
4.3635 8.4322 0.4205
4.6890 0.9844 4.5502
4.7780 12.9528 6.3708
4.8023 0.8288 10.9087
4.8051 10.4603 9.3117
4.8995 2.6891 12.6640
4.9232 5.8228 12.9568
4.9756 0.8056 2.5813
4.9864 11.0563 6.9037
5.0095 4.3174 5.4150
5.0180 2.6141 3.5068
5.0189 8.8792 11.4638
5.1083 5.9604 5.5223
5.1752 3.9671 8.0200
5.2885 12.6720 12.9655
0.0692 5.0842 5.9991
0.2044 9.7143 9.3740
2.4462 3.7629 2.3517
2.5814 8.3929 13.0215
2.7199 1.6544 8.0455
2.8551 10.5014 4.6707
5.0969 2.9757 11.6930
5.2321 11.8227 1.0232
```

Total energy after the MP2020 corrections: -4.447 eV per atom
ΔH_f (0 K): -0.267 eV per atom
Final energy: -4.42 eV per atom

=====

Computed, not measured: a relaxed structure of Na2MgB4H20N4 at the PBE level of DFT.

Cell and atoms, written as POSCAR:
```
Na2MgB4H20N4
1.0
-4.7963 4.7963 6.4000
4.7963 -4.7963 6.4000
4.7963 4.7963 -6.4000
Na Mg B H N
4 2 8 40 8
Cartesian
0.0000 0.0000 0.0000
-2.3981 2.3981 3.2000
0.0000 4.7963 0.0000
2.3981 2.3981 3.2000
4.7963 2.3981 -1.6000
0.0000 2.3981 8.0000
2.3402 2.0442 0.2010
4.4423 4.8542 -3.4010
4.4423 0.0579 3.4010
2.4560 -2.0442 6.6010
2.3402 6.8404 -0.2010
0.3540 4.7384 2.9990
0.3540 -0.0579 9.8010
2.4560 2.7521 6.1989
6.3386 -0.4073 0.8993
3.2877 3.0654 -3.5734
2.8054 -0.8558 2.3007
3.2877 -1.7309 3.5734
4.1290 0.8896 0.3734
0.6171 -0.3778 2.3742
3.1907 -2.4684 5.7028
1.6056 2.4684 -0.6972
1.6607 1.3536 0.9778
2.8054 3.9404 -2.3007
3.7517 5.5337 -4.1778
6.8166 1.7810 0.8258
5.4134 -0.3778 4.0258
4.8665 0.7925 2.5028
2.7760 3.0153 0.8258
0.0702 0.7925 3.8972
1.5423 -0.4073 5.5006
3.7517 0.7374 4.1778
3.1356 -1.3536 7.3778
5.4635 3.9067 0.3734
-0.6673 0.8896 6.0266
1.6607 6.1498 -0.9778
1.0446 4.0588 2.2222
3.2540 5.2035 0.8993
4.7260 4.0037 2.5028
2.0203 1.7810 5.5742
-0.0702 4.0037 3.8972
-0.6171 5.1741 2.3742
-2.0203 3.0153 5.5742
1.0446 -0.7374 10.5778
1.9909 0.8558 8.7006
3.1356 3.4427 5.4221
3.1907 2.3279 7.0972
1.6056 7.2646 0.6972
4.1791 5.1741 4.0258
0.6673 3.9067 6.0266
1.5086 6.5271 2.8266
1.9909 5.6521 4.0993
1.5086 1.7309 9.9734
-1.5423 5.2035 5.5006
3.6447 -1.1589 2.8051
3.5570 1.2466 -0.3949
3.6447 3.6374 -2.8051
6.0355 3.5497 -0.3949
-1.2392 1.2466 6.7949
1.1516 1.1589 9.2050
1.2392 3.5497 6.7949
1.1516 5.9552 3.5949
```

Total energy after the MP2020 corrections: -4.686 eV per atom
ΔH_f (0 K): -0.423 eV per atom
Final energy: -4.64 eV per atom